Arrangement A

The following is a DFT calculation (PBE) of an optimized crystal structure of CaSm4Tm4O12.

Summary:
As for the space-group type: P1. Its total magnetization is 0.00 μB per formula unit.

```
CaSm4Tm4O12
1.0
5.905 0.000 0.000
0.739 5.965 0.000
1.520 0.662 9.077
Ca Sm Tm O
1 4 4 12
direct
0.000 0.000 0.000
0.085 0.775 0.351
0.132 0.547 0.861
0.530 0.123 0.848
0.637 0.239 0.424
0.113 0.145 0.623
0.222 0.279 0.194
0.608 0.654 0.094
0.672 0.637 0.672
0.302 0.065 0.403
0.326 0.860 0.739
0.373 0.956 0.089
0.408 0.374 0.651
0.413 0.513 0.295
0.445 0.427 0.995
0.781 0.789 0.872
0.842 0.942 0.561
0.858 0.338 0.783
0.898 0.472 0.481
0.900 0.096 0.233
0.983 0.606 0.127
```

=====

Arrangement B

The following is a DFT calculation (PBE) of an optimized crystal structure of CaSm4Tm4O12.

Summary:
As for the space-group type: Pm. Its total magnetization is 0.01 μB per formula unit.

```
CaSm4Tm4O12
1.0
6.380 0.000 0.000
0.000 7.615 0.000
-0.359 0.000 6.553
Ca Sm Tm O
1 4 4 12
direct
0.000 0.000 0.000
0.201 0.500 0.735
0.335 0.000 0.649
0.812 0.500 0.278
0.833 0.000 0.422
0.402 0.231 0.215
0.402 0.769 0.215
0.708 0.291 0.793
0.708 0.709 0.793
0.182 0.000 0.308
0.251 0.201 0.911
0.251 0.799 0.911
0.453 0.281 0.546
0.453 0.719 0.546
0.465 0.500 0.151
0.706 0.000 0.743
0.734 0.201 0.140
0.734 0.799 0.140
0.907 0.500 0.939
0.934 0.301 0.552
0.934 0.699 0.552
```

=====

It is arrangement A that is most stable; the runner-up trails by 108 meV/atom.

=====

Arrangement A

The following is a DFT calculation (PBE) of an optimized crystal structure of Ca4Ta2O9.

Summary:
As for the space-group type: P2_1/c.

```
Ca4Ta2O9
1.0
9.907 0.000 0.000
0.000 5.578 0.000
-9.666 0.000 14.259
Ca Ta O
16 8 36
direct
0.000 0.000 0.000
0.000 0.500 0.500
0.048 0.018 0.395
0.048 0.482 0.895
0.285 0.502 0.770
0.285 0.998 0.270
0.379 0.017 0.073
0.379 0.483 0.573
0.500 0.000 0.500
0.500 0.500 0.000
0.621 0.517 0.427
0.621 0.983 0.927
0.715 0.002 0.730
0.715 0.498 0.230
0.952 0.518 0.105
0.952 0.982 0.605
0.174 0.509 0.336
0.174 0.991 0.836
0.331 0.510 0.164
0.331 0.990 0.664
0.669 0.010 0.336
0.669 0.490 0.836
0.826 0.009 0.164
0.826 0.491 0.664
0.046 0.697 0.750
0.046 0.803 0.250
0.122 0.615 0.424
0.122 0.885 0.924
0.171 0.170 0.553
0.171 0.330 0.053
0.199 0.703 0.629
0.199 0.797 0.129
0.224 0.090 0.735
0.224 0.410 0.235
0.264 0.211 0.403
0.264 0.289 0.903
0.378 0.679 0.399
0.378 0.821 0.899
0.443 0.617 0.107
0.443 0.883 0.607
0.480 0.210 0.218
0.480 0.290 0.718
0.520 0.710 0.282
0.520 0.790 0.782
0.557 0.117 0.393
0.557 0.383 0.893
0.622 0.179 0.101
0.622 0.321 0.601
0.736 0.711 0.097
0.736 0.789 0.597
0.776 0.590 0.765
0.776 0.910 0.265
0.801 0.203 0.871
0.801 0.297 0.371
0.829 0.670 0.947
0.829 0.830 0.447
0.878 0.115 0.076
0.878 0.385 0.576
0.954 0.197 0.750
0.954 0.303 0.250
```

=====

Arrangement B

The following is a DFT calculation (PBE) of an optimized crystal structure of Ca4Ta2O9.

Summary:
As for the space-group type: Pbcn. Its total magnetization is 0.00 μB per formula unit.

```
Ca4Ta2O9
1.0
9.834 0.000 0.000
0.000 5.691 0.000
0.000 0.000 14.948
Ca Ta O
16 8 36
direct
0.164 0.006 0.203
0.164 0.012 0.488
0.164 0.988 0.988
0.164 0.994 0.703
0.336 0.488 0.988
0.336 0.494 0.703
0.336 0.506 0.203
0.336 0.512 0.488
0.664 0.488 0.512
0.664 0.494 0.797
0.664 0.506 0.297
0.664 0.512 0.012
0.836 0.006 0.297
0.836 0.012 0.012
0.836 0.988 0.512
0.836 0.994 0.797
0.005 0.497 0.853
0.005 0.503 0.353
0.495 0.003 0.353
0.495 0.997 0.853
0.505 0.003 0.147
0.505 0.997 0.647
0.995 0.497 0.647
0.995 0.503 0.147
0.000 0.237 0.750
0.000 0.763 0.250
0.013 0.195 0.092
0.013 0.805 0.592
0.132 0.374 0.253
0.132 0.626 0.753
0.148 0.348 0.916
0.148 0.652 0.416
0.158 0.334 0.598
0.158 0.666 0.098
0.342 0.166 0.098
0.342 0.834 0.598
0.352 0.152 0.416
0.352 0.848 0.916
0.368 0.126 0.753
0.368 0.874 0.253
0.487 0.305 0.592
0.487 0.695 0.092
0.500 0.263 0.250
0.500 0.737 0.750
0.513 0.305 0.908
0.513 0.695 0.408
0.632 0.126 0.747
0.632 0.874 0.247
0.648 0.152 0.084
0.648 0.848 0.584
0.658 0.166 0.402
0.658 0.834 0.902
0.842 0.334 0.902
0.842 0.666 0.402
0.852 0.348 0.584
0.852 0.652 0.084
0.868 0.374 0.247
0.868 0.626 0.747
0.987 0.195 0.408
0.987 0.805 0.908
```

=====

It is arrangement A that is most stable; the runner-up trails by 43 meV/atom.

=====

Arrangement A

The following is a DFT calculation (PBE) of an optimized crystal structure of Ca4Ta2O9.

Summary:
As for the space-group type: P-3c1.

```
Ca4Ta2O9
1.0
5.668 0.000 0.000
-2.834 4.908 0.000
0.000 0.000 14.923
Ca Ta O
8 4 18
direct
0.333 0.667 0.023
0.333 0.667 0.305
0.333 0.667 0.523
0.333 0.667 0.805
0.667 0.333 0.195
0.667 0.333 0.477
0.667 0.333 0.695
0.667 0.333 0.977
0.000 0.000 0.147
0.000 0.000 0.353
0.000 0.000 0.647
0.000 0.000 0.853
0.000 0.262 0.250
0.000 0.738 0.750
0.036 0.322 0.910
0.036 0.714 0.410
0.262 0.000 0.250
0.262 0.262 0.750
0.286 0.322 0.410
0.286 0.964 0.910
0.322 0.036 0.590
0.322 0.286 0.090
0.678 0.714 0.910
0.678 0.964 0.410
0.714 0.036 0.090
0.714 0.678 0.590
0.738 0.000 0.750
0.738 0.738 0.250
0.964 0.286 0.590
0.964 0.678 0.090
```

=====

Arrangement B

The following is a DFT calculation (PBE) of an optimized crystal structure of Ca4Ta2O9.

Summary:
As for the space-group type: P-1. Its total magnetization is 0.00 μB per formula unit.

```
Ca4Ta2O9
1.0
5.761 0.000 0.000
2.877 4.993 0.000
0.052 -0.001 14.873
Ca Ta O
8 4 18
direct
0.000 0.000 0.000
0.000 0.000 0.500
0.001 0.002 0.245
0.334 0.333 0.156
0.340 0.333 0.405
0.660 0.667 0.595
0.666 0.667 0.844
0.999 0.998 0.755
0.328 0.335 0.651
0.333 0.333 0.851
0.667 0.667 0.149
0.672 0.665 0.349
0.039 0.381 0.748
0.051 0.656 0.900
0.060 0.646 0.589
0.283 0.068 0.590
0.294 0.052 0.901
0.347 0.706 0.099
0.366 0.709 0.415
0.382 0.577 0.746
0.425 0.957 0.253
0.575 0.043 0.747
0.618 0.423 0.254
0.634 0.291 0.585
0.653 0.294 0.901
0.706 0.948 0.099
0.717 0.932 0.410
0.940 0.354 0.411
0.949 0.344 0.100
0.961 0.619 0.252
```

=====

It is arrangement A that is most stable; the runner-up trails by 31 meV/atom.

=====

Arrangement A

The following is a DFT calculation (PBE) of an optimized crystal structure of Ca3Zn3Te2O12.

Summary:
As for the space-group type: I4_132. Its total magnetization is 0.00 μB per formula unit.

```
Ca3Zn3Te2O12
1.0
-6.493 6.493 6.493
6.493 -6.493 6.493
6.493 6.493 -6.493
Ca Zn Te O
12 12 8 48
direct
0.156 0.750 0.344
0.156 0.906 0.813
0.344 0.156 0.750
0.344 0.687 0.594
0.594 0.344 0.687
0.594 0.750 0.906
0.687 0.594 0.344
0.750 0.344 0.156
0.750 0.906 0.594
0.813 0.156 0.906
0.906 0.594 0.750
0.906 0.813 0.156
0.095 0.191 0.845
0.095 0.405 0.250
0.191 0.845 0.095
0.250 0.095 0.405
0.250 0.655 0.845
0.309 0.405 0.655
0.405 0.250 0.095
0.405 0.655 0.309
0.655 0.309 0.405
0.655 0.845 0.250
0.845 0.095 0.191
0.845 0.250 0.655
0.000 0.015 0.500
0.000 0.485 0.500
0.015 0.015 0.015
0.015 0.500 0.000
0.485 0.485 0.485
0.485 0.500 0.000
0.500 0.000 0.015
0.500 0.000 0.485
0.002 0.184 0.123
0.002 0.319 0.880
0.010 0.676 0.104
0.010 0.835 0.906
0.072 0.665 0.676
0.072 0.906 0.396
0.104 0.010 0.676
0.104 0.594 0.428
0.123 0.002 0.184
0.123 0.620 0.939
0.181 0.184 0.561
0.181 0.498 0.620
0.184 0.123 0.002
0.184 0.561 0.181
0.316 0.319 0.939
0.316 0.498 0.377
0.319 0.880 0.002
0.319 0.939 0.316
0.377 0.316 0.498
0.377 0.561 0.880
0.396 0.072 0.906
0.396 0.824 0.490
0.428 0.104 0.594
0.428 0.824 0.835
0.490 0.396 0.824
0.490 0.594 0.665
0.498 0.377 0.316
0.498 0.620 0.181
0.561 0.181 0.184
0.561 0.880 0.377
0.594 0.428 0.104
0.594 0.665 0.490
0.620 0.181 0.498
0.620 0.939 0.123
0.665 0.490 0.594
0.665 0.676 0.072
0.676 0.072 0.665
0.676 0.104 0.010
0.824 0.490 0.396
0.824 0.835 0.428
0.835 0.428 0.824
0.835 0.906 0.010
0.880 0.002 0.319
0.880 0.377 0.561
0.906 0.010 0.835
0.906 0.396 0.072
0.939 0.123 0.620
0.939 0.316 0.319
```

=====

Arrangement B

The following is a DFT calculation (PBE) of an optimized crystal structure of Ca3Zn3Te2O12.

Summary:
As for the space-group type: Ia-3d. Its total magnetization is 0.02 μB per formula unit.

```
Ca3Zn3Te2O12
1.0
-6.376 6.376 6.376
6.376 -6.376 6.376
6.376 6.376 -6.376
Ca Zn Te O
12 12 8 48
direct
0.125 0.250 0.375
0.125 0.375 0.750
0.250 0.375 0.125
0.250 0.875 0.625
0.375 0.125 0.250
0.375 0.750 0.125
0.625 0.250 0.875
0.625 0.875 0.750
0.750 0.125 0.375
0.750 0.625 0.875
0.875 0.625 0.250
0.875 0.750 0.625
0.125 0.750 0.875
0.125 0.875 0.250
0.250 0.125 0.875
0.250 0.625 0.375
0.375 0.250 0.625
0.375 0.625 0.750
0.625 0.375 0.250
0.625 0.750 0.375
0.750 0.375 0.625
0.750 0.875 0.125
0.875 0.125 0.750
0.875 0.250 0.125
0.000 0.000 0.000
0.000 0.000 0.500
0.000 0.500 0.000
0.000 0.500 0.500
0.500 0.000 0.000
0.500 0.000 0.500
0.500 0.500 0.000
0.500 0.500 0.500
0.024 0.193 0.117
0.024 0.331 0.906
0.075 0.693 0.669
0.075 0.883 0.406
0.094 0.617 0.425
0.094 0.976 0.669
0.117 0.024 0.193
0.117 0.594 0.925
0.169 0.193 0.575
0.169 0.476 0.594
0.193 0.117 0.024
0.193 0.575 0.169
0.307 0.331 0.925
0.307 0.476 0.383
0.331 0.906 0.024
0.331 0.925 0.307
0.383 0.307 0.476
0.383 0.575 0.906
0.406 0.075 0.883
0.406 0.831 0.524
0.425 0.094 0.617
0.425 0.831 0.807
0.476 0.383 0.307
0.476 0.594 0.169
0.524 0.406 0.831
0.524 0.617 0.693
0.575 0.169 0.193
0.575 0.906 0.383
0.594 0.169 0.476
0.594 0.925 0.117
0.617 0.425 0.094
0.617 0.693 0.524
0.669 0.075 0.693
0.669 0.094 0.976
0.693 0.524 0.617
0.693 0.669 0.075
0.807 0.425 0.831
0.807 0.883 0.976
0.831 0.524 0.406
0.831 0.807 0.425
0.883 0.406 0.075
0.883 0.976 0.807
0.906 0.024 0.331
0.906 0.383 0.575
0.925 0.117 0.594
0.925 0.307 0.331
0.976 0.669 0.094
0.976 0.807 0.883
```

=====

It is arrangement B that is most stable; the runner-up trails by 120 meV/atom.